# 1
Density functional theory data (PBE) for a relaxed structure of Na2Y2P2SO12.

## Properties
DFT formation energy   -2.959 eV per atom
Uncorrected energy   -827.36 eV/cell

abc: 9.2507 9.2507 23.7858
angles: 90.40 89.60 119.84
Positions (direct):
Na1 0.9916 0.6267 0.2531
Na2 0.3733 0.0084 0.7531
Na3 0.6583 0.9600 0.5865
Na4 0.0400 0.3417 0.0865
Na5 0.3249 0.2934 0.9198
Na6 0.7066 0.6751 0.4198
Na7 0.0206 0.9876 0.5008
Na8 0.0124 0.9794 0.0008
Na9 0.6872 0.3210 0.8341
Na10 0.6790 0.3128 0.3341
Na11 0.3539 0.6543 0.1674
Na12 0.3457 0.6461 0.6674
Y1 0.9943 0.0080 0.3499
Y2 0.9920 0.0057 0.8499
Y3 0.0018 0.9998 0.6495
Y4 0.0002 0.9982 0.1495
Y5 0.6610 0.3414 0.6833
Y6 0.6586 0.3390 0.1833
Y7 0.6684 0.3332 0.9828
Y8 0.6668 0.3316 0.4828
Y9 0.3276 0.6747 0.0166
Y10 0.3253 0.6724 0.5166
Y11 0.3351 0.6665 0.3161
Y12 0.3335 0.6649 0.8161
P1 0.7037 0.7033 0.2516
P2 0.9994 0.3043 0.2470
P3 0.2967 0.2963 0.7516
P4 0.6957 0.0006 0.7470
P5 0.3703 0.0366 0.5849
P6 0.6661 0.6376 0.5803
P7 0.9634 0.6297 0.0849
P8 0.3624 0.3339 0.0803
P9 0.0370 0.3699 0.9183
P10 0.3327 0.9709 0.9137
P11 0.6301 0.9630 0.4183
P12 0.0291 0.6673 0.4137
S1 0.2969 0.9992 0.2507
S2 0.0008 0.7031 0.7507
S3 0.9636 0.3325 0.5840
S4 0.6675 0.0364 0.0840
S5 0.6302 0.6659 0.9174
S6 0.3341 0.3698 0.4174
O1 0.2165 0.0199 0.3016
O2 0.8074 0.7839 0.3056
O3 0.9886 0.1987 0.2986
O4 0.2161 0.1926 0.8056
O5 0.9801 0.7835 0.8016
O6 0.8013 0.0114 0.7986
O7 0.7761 0.9821 0.6919
O8 0.1889 0.2022 0.7003
O9 0.0202 0.8051 0.7004
O10 0.7978 0.8111 0.2003
O11 0.0179 0.2239 0.1919
O12 0.1949 0.9798 0.2004
O13 0.8832 0.3532 0.6350
O14 0.4741 0.1172 0.6390
O15 0.6553 0.5321 0.6319
O16 0.8828 0.5259 0.1390
O17 0.6468 0.1168 0.1350
O18 0.4679 0.3447 0.1319
O19 0.4427 0.3154 0.0253
O20 0.8556 0.5355 0.0337
O21 0.6868 0.1384 0.0337
O22 0.4645 0.1444 0.5337
O23 0.6846 0.5573 0.5253
O24 0.8616 0.3132 0.5337
O25 0.5499 0.6866 0.9683
O26 0.1407 0.4506 0.9723
O27 0.3220 0.8654 0.9652
O28 0.5494 0.8593 0.4723
O29 0.3134 0.4501 0.4683
O30 0.1346 0.6780 0.4652
O31 0.1094 0.6488 0.3586
O32 0.5223 0.8689 0.3670
O33 0.3535 0.4717 0.3670
O34 0.1311 0.4777 0.8670
O35 0.3512 0.8906 0.8586
O36 0.5283 0.6465 0.8670
O37 0.0105 0.8259 0.4126
O38 0.8034 0.9732 0.4135
O39 0.1894 0.2004 0.4126
O40 0.0268 0.1966 0.9135
O41 0.1741 0.9895 0.9126
O42 0.7996 0.8106 0.9126
O43 0.9712 0.1754 0.5874
O44 0.1941 0.0150 0.5879
O45 0.8192 0.8176 0.5849
O46 0.9850 0.8059 0.0879
O47 0.8246 0.0288 0.0874
O48 0.1824 0.1808 0.0849
O49 0.6771 0.1593 0.7460
O50 0.4700 0.3065 0.7468
O51 0.8561 0.5338 0.7460
O52 0.6935 0.5300 0.2468
O53 0.8407 0.3229 0.2460
O54 0.4662 0.1439 0.2460
O55 0.6379 0.5087 0.9207
O56 0.8607 0.3483 0.9212
O57 0.4859 0.1510 0.9182
O58 0.6517 0.1393 0.4212
O59 0.4913 0.3621 0.4207
O60 0.8490 0.5141 0.4182
O61 0.3438 0.4926 0.0793
O62 0.1367 0.6398 0.0802
O63 0.5228 0.8671 0.0793
O64 0.3602 0.8633 0.5802
O65 0.5074 0.6562 0.5793
O66 0.1329 0.4772 0.5793
O67 0.3046 0.8421 0.2540
O68 0.5274 0.6817 0.2545
O69 0.1526 0.4843 0.2516
O70 0.3183 0.4726 0.7545
O71 0.1579 0.6954 0.7540
O72 0.5157 0.8474 0.7516

---

# 2
Density functional theory data (PBE) for a relaxed structure of ZnPtC6N6.

## Properties
DFT formation energy   0.165 eV per atom
Uncorrected energy   -108.25 eV/cell

abc: 7.5563 7.5563 7.5563
angles: 60.00 60.00 60.00
Positions (direct):
Zn1 0.5000 0.5000 0.5000
Pt1 0.0000 0.0000 0.0000
C1 0.8110 0.1890 0.1890
C2 0.1890 0.8110 0.8110
C3 0.1890 0.8110 0.1890
C4 0.8110 0.1890 0.8110
C5 0.1890 0.1890 0.8110
C6 0.8110 0.8110 0.1890
N1 0.7021 0.2979 0.2979
N2 0.2979 0.7021 0.7021
N3 0.2979 0.7021 0.2979
N4 0.7021 0.2979 0.7021
N5 0.2979 0.2979 0.7021
N6 0.7021 0.7021 0.2979

---

# 3
Density functional theory data (PBE) for a relaxed structure of InH10C2SeCl3O2.

## Properties
DFT formation energy   -0.696 eV per atom
Uncorrected energy   -687.42 eV/cell

abc: 10.8552 11.1779 17.7050
angles: 90.00 90.00 90.00
Positions (direct):
In1 0.2473 0.4823 0.6814
In2 0.7473 0.5177 0.8186
In3 0.7527 0.0177 0.1814
In4 0.2527 0.9823 0.3186
In5 0.7527 0.5177 0.3186
In6 0.2527 0.4823 0.1814
In7 0.2473 0.9823 0.8186
In8 0.7473 0.0177 0.6814
H1 0.0599 0.3693 0.7789
H2 0.5599 0.6307 0.7211
H3 0.9401 0.1307 0.2789
H4 0.4401 0.8693 0.2211
H5 0.9401 0.6307 0.2211
H6 0.4401 0.3693 0.2789
H7 0.0599 0.8693 0.7211
H8 0.5599 0.1307 0.7789
H9 0.1340 0.2651 0.7353
H10 0.6340 0.7349 0.7647
H11 0.8660 0.2349 0.2353
H12 0.3660 0.7651 0.2647
H13 0.8660 0.7349 0.2647
H14 0.3660 0.2651 0.2353
H15 0.1340 0.7651 0.7647
H16 0.6340 0.2349 0.7353
H17 0.1645 0.4577 0.4650
H18 0.6645 0.5423 0.0350
H19 0.8355 0.0423 0.9650
H20 0.3355 0.9577 0.5350
H21 0.8355 0.5423 0.5350
H22 0.3355 0.4577 0.9650
H23 0.1645 0.9577 0.0350
H24 0.6645 0.0423 0.4650
H25 0.2973 0.3814 0.4279
H26 0.7973 0.6186 0.0721
H27 0.7027 0.1186 0.9279
H28 0.2027 0.8814 0.5721
H29 0.7027 0.6186 0.5721
H30 0.2027 0.3814 0.9279
H31 0.2973 0.8814 0.0721
H32 0.7973 0.1186 0.4279
H33 0.3173 0.5094 0.4889
H34 0.8173 0.4906 0.0111
H35 0.6827 0.9906 0.9889
H36 0.1827 0.0094 0.5111
H37 0.6827 0.4906 0.5111
H38 0.1827 0.5094 0.9889
H39 0.3173 0.0094 0.0111
H40 0.8173 0.9906 0.4889
H41 0.4469 0.2090 0.6027
H42 0.9469 0.7910 0.8973
H43 0.5531 0.2910 0.1027
H44 0.0531 0.7090 0.3973
H45 0.5531 0.7910 0.3973
H46 0.0531 0.2090 0.1027
H47 0.4469 0.7090 0.8973
H48 0.9469 0.2910 0.6027
H49 0.4551 0.2485 0.5039
H50 0.9551 0.7515 0.9961
H51 0.5449 0.2515 0.0039
H52 0.0449 0.7485 0.4961
H53 0.5449 0.7515 0.4961
H54 0.0449 0.2485 0.0039
H55 0.4551 0.7485 0.9961
H56 0.9551 0.2515 0.5039
H57 0.4875 0.3600 0.5756
H58 0.9875 0.6400 0.9244
H59 0.5125 0.1400 0.0756
H60 0.0125 0.8600 0.4244
H61 0.5125 0.6400 0.4244
H62 0.0125 0.3600 0.0756
H63 0.4875 0.8600 0.9244
H64 0.9875 0.1400 0.5756
H65 0.3664 0.2736 0.7476
H66 0.8664 0.7264 0.7524
H67 0.6336 0.2264 0.2476
H68 0.1336 0.7736 0.2524
H69 0.6336 0.7264 0.2524
H70 0.1336 0.2736 0.2476
H71 0.3664 0.7736 0.7524
H72 0.8664 0.2264 0.7476
H73 0.4359 0.3830 0.7866
H74 0.9359 0.6170 0.7134
H75 0.5641 0.1170 0.2866
H76 0.0641 0.8830 0.2134
H77 0.5641 0.6170 0.2134
H78 0.0641 0.3830 0.2866
H79 0.4359 0.8830 0.7134
H80 0.9359 0.1170 0.7866
C1 0.4340 0.2803 0.5610
C2 0.9340 0.7197 0.9390
C3 0.5660 0.2197 0.0610
C4 0.0660 0.7803 0.4390
C5 0.5660 0.7197 0.4390
C6 0.0660 0.2803 0.0610
C7 0.4340 0.7803 0.9390
C8 0.9340 0.2197 0.5610
C9 0.2600 0.4316 0.4758
C10 0.7600 0.5684 0.0242
C11 0.7400 0.0684 0.9758
C12 0.2400 0.9316 0.5242
C13 0.7400 0.5684 0.5242
C14 0.2400 0.4316 0.9758
C15 0.2600 0.9316 0.0242
C16 0.7600 0.0684 0.4758
Se1 0.2579 0.3203 0.5617
Se2 0.7579 0.6797 0.9383
Se3 0.7421 0.1797 0.0617
Se4 0.2421 0.8203 0.4383
Se5 0.7421 0.6797 0.4383
Se6 0.2421 0.3203 0.0617
Se7 0.2579 0.8203 0.9383
Se8 0.7579 0.1797 0.5617
Cl1 0.4233 0.6032 0.6318
Cl2 0.9233 0.3968 0.8682
Cl3 0.5767 0.8968 0.1318
Cl4 0.0767 0.1032 0.3682
Cl5 0.5767 0.3968 0.3682
Cl6 0.0767 0.6032 0.1318
Cl7 0.4233 0.1032 0.8682
Cl8 0.9233 0.8968 0.6318
Cl9 0.2372 0.6063 0.7987
Cl10 0.7372 0.3937 0.7013
Cl11 0.7628 0.8937 0.2987
Cl12 0.2628 0.1063 0.2013
Cl13 0.7628 0.3937 0.2013
Cl14 0.2628 0.6063 0.2987
Cl15 0.2372 0.1063 0.7013
Cl16 0.7372 0.8937 0.7987
Cl17 0.0670 0.5845 0.6218
Cl18 0.5670 0.4155 0.8782
Cl19 0.9330 0.9155 0.1218
Cl20 0.4330 0.0845 0.3782
Cl21 0.9330 0.4155 0.3782
Cl22 0.4330 0.5845 0.1218
Cl23 0.0670 0.0845 0.8782
Cl24 0.5670 0.9155 0.6218
O1 0.1077 0.3498 0.7327
O2 0.6077 0.6502 0.7673
O3 0.8923 0.1502 0.2327
O4 0.3923 0.8498 0.2673
O5 0.8923 0.6502 0.2673
O6 0.3923 0.3498 0.2327
O7 0.1077 0.8498 0.7673
O8 0.6077 0.1502 0.7327
O9 0.3889 0.3581 0.7411
O10 0.8889 0.6419 0.7589
O11 0.6111 0.1419 0.2411
O12 0.1111 0.8581 0.2589
O13 0.6111 0.6419 0.2589
O14 0.1111 0.3581 0.2411
O15 0.3889 0.8581 0.7589
O16 0.8889 0.1419 0.7411

---

# 4
Density functional theory data (PBE) for a relaxed structure of KPrInSbO6.

## Properties
DFT formation energy   -2.307 eV per atom
Uncorrected energy   -61.41 eV/cell

abc: 5.8023 5.8023 5.8023
angles: 60.00 60.00 60.00
Positions (direct):
K1 0.7500 0.7500 0.7500
Pr1 0.2500 0.2500 0.2500
In1 0.0000 0.0000 0.0000
Sb1 0.5000 0.5000 0.5000
O1 0.7413 0.2587 0.2587
O2 0.2587 0.7413 0.7413
O3 0.7413 0.2587 0.7413
O4 0.2587 0.7413 0.2587
O5 0.7413 0.7413 0.2587
O6 0.2587 0.2587 0.7413

---

Question: What is the uncorrected energy in the first record?
Answer: -827.36 eV/cell

---

Question: Among the records above, which one has the highest DFT formation energy?
Answer: ZnPtC6N6

---

Question: What is the formula in the third record?
Answer: InH10C2SeCl3O2

---

Question: Among the records above, which one has the lowest uncorrected energy?
Answer: Na2Y2P2SO12